## DySbO3 (GGA-PBE)

Data for DySbO3 after structural relaxation.

It has space group Pm-3m (No. 221), with a = 4.2480 Å, b = 4.2480 Å, c = 4.2480 Å, α = 90.00°, β = 90.00° and γ = 90.00°. The asymmetric unit holds Dy at (0.0000, 0.0000, 0.0000), Sb at (0.5000, 0.5000, 0.5000) and O at (0.0000, 0.5000, 0.5000).

Its electronic total energy is -6.200 eV/atom. The value obtained for the formation energy is -1896 meV per atom. The size of the total moment comes out at 0.0 μB/f.u.